A geometry-optimized BaTiFe2Si2O10 structure. Source: the Materials Project database, functional PBE with a Hubbard U.

a b c (Å): 8.7819 8.7819 12.1214
angles (deg): 102.77 102.77 104.57
Sites, in units of the cell vectors:
1 Ba 0.0000 0.0000 0.0000
2 Ba 0.0435 0.5421 0.1377
3 Ba 0.5034 0.5034 0.0097
4 Ba 0.5420 0.0435 0.1377
5 Ti 0.2098 0.6942 0.9029
6 Ti 0.3446 0.3446 0.2385
7 Ti 0.6942 0.2098 0.9029
8 Ti 0.8431 0.8431 0.2373
9 Fe 0.0205 0.7775 0.5665
10 Fe 0.1534 0.1534 0.5619
11 Fe 0.2720 0.5246 0.5735
12 Fe 0.3939 0.8970 0.5808
13 Fe 0.5246 0.2720 0.5735
14 Fe 0.6507 0.6507 0.5626
15 Fe 0.7775 0.0205 0.5665
16 Fe 0.8970 0.3939 0.5808
17 Si 0.0511 0.2776 0.8180
18 Si 0.2638 0.9923 0.3250
19 Si 0.2776 0.0511 0.8180
20 Si 0.4934 0.7648 0.3274
21 Si 0.5573 0.7859 0.8144
22 Si 0.7648 0.4934 0.3274
23 Si 0.7859 0.5574 0.8144
24 Si 0.9923 0.2638 0.3250
25 O 0.0745 0.3070 0.4721
26 O 0.0768 0.8730 0.2639
27 O 0.0956 0.5803 0.6502
28 O 0.1253 0.3168 0.2563
29 O 0.1399 0.1399 0.8321
30 O 0.1818 0.4594 0.8735
31 O 0.2021 0.7081 0.4969
32 O 0.2354 0.9704 0.6717
33 O 0.2421 0.9184 0.8904
34 O 0.2708 0.7463 0.0565
35 O 0.2864 0.2864 0.0849
36 O 0.3070 0.0745 0.4721
37 O 0.3168 0.1253 0.2563
38 O 0.3431 0.3431 0.6483
39 O 0.3748 0.5781 0.2679
40 O 0.3829 0.8825 0.3095
41 O 0.4269 0.7163 0.8799
42 O 0.4582 0.4582 0.4969
43 O 0.4594 0.1818 0.8735
44 O 0.4742 0.7417 0.6688
45 O 0.5735 0.8100 0.4732
46 O 0.5781 0.3748 0.2679
47 O 0.5803 0.0956 0.6502
48 O 0.6264 0.8188 0.2595
49 O 0.6623 0.9773 0.8781
50 O 0.6916 0.6916 0.8305
51 O 0.7081 0.2021 0.4969
52 O 0.7163 0.4269 0.8799
53 O 0.7417 0.4742 0.6688
54 O 0.7463 0.2708 0.0565
55 O 0.7862 0.7862 0.0841
56 O 0.8100 0.5735 0.4732
57 O 0.8188 0.6264 0.2595
58 O 0.8423 0.8423 0.6430
59 O 0.8730 0.0768 0.2639
60 O 0.8825 0.3829 0.3095
61 O 0.9184 0.2421 0.8904
62 O 0.9577 0.9577 0.4911
63 O 0.9704 0.2354 0.6717
64 O 0.9773 0.6623 0.8781

Computed properties:
Total energy = -7.500 eV/atom
Formation energy from the elements = -2.769 eV/atom
Space group = No. 8